*P*
# PBE-GGA NaAlSiO4, relaxed
# volume: 13.18 A^3/atom
# spin magnetization: 0.0 μB per formula unit
data_NaAlSiO4
_chemical_formula_sum 'Na24 Al24 Si24 O96'
_symmetry_space_group_name_H-M 'P 61'
_symmetry_Int_Tables_number 169
_cell_length_a 10.1004
_cell_length_b 10.1004
_cell_length_c 25.0701
_cell_angle_alpha 90.00
_cell_angle_beta 90.00
_cell_angle_gamma 120.00
loop_
_symmetry_equiv_pos_as_xyz
'x,y,z'
'x-y,x,z+1/6'
'-y,x-y,z+1/3'
'-x,-y,z+1/2'
'-x+y,-x,z+2/3'
'y,-x+y,z+5/6'
loop_
_atom_site_label
_atom_site_type_symbol
_atom_site_fract_x
_atom_site_fract_y
_atom_site_fract_z
Na1 Na 0.0044 0.0150 0.0084
Na2 Na 0.0207 0.5647 0.0161
Na3 Na 0.0315 0.4735 0.1773
Na4 Na 0.0395 0.4820 0.8333
Al1 Al 0.0981 0.7713 0.9003
Al2 Al 0.1031 0.8111 0.2424
Al3 Al 0.1192 0.7545 0.5722
Al4 Al 0.3143 0.6695 0.7376
Si1 Si 0.0875 0.7636 0.4455
Si2 Si 0.1015 0.7980 0.7750
Si3 Si 0.1337 0.7782 0.1162
Si4 Si 0.2979 0.6616 0.2764
O1 O 0.0048 0.7564 0.0719
O2 O 0.0277 0.2728 0.1169
O3 O 0.0333 0.1907 0.2423
O4 O 0.0355 0.7227 0.8338
O5 O 0.0390 0.7088 0.5075
O6 O 0.0532 0.3416 0.4441
O7 O 0.0542 0.1915 0.7744
O8 O 0.0572 0.7537 0.1754
O9 O 0.0584 0.3368 0.9058
O10 O 0.1456 0.6807 0.2736
O11 O 0.1485 0.6856 0.7434
O12 O 0.1781 0.6225 0.5888
O13 O 0.1795 0.6449 0.1067
O14 O 0.2310 0.7417 0.4297
O15 O 0.2488 0.7319 0.9051
O16 O 0.3014 0.6774 0.0044



*Q*
# PBE-GGA NaAlSiO4, relaxed
# maximum piezoelectric response: 0.1 C/m2
# volume: 13.76 A^3/atom
# spin magnetization: 0.0 μB per formula unit
data_NaAlSiO4
_chemical_formula_sum 'Na8 Al8 Si8 O32'
_symmetry_space_group_name_H-M 'P c a 21'
_symmetry_Int_Tables_number 29
_cell_length_a 10.404
_cell_length_b 5.223
_cell_length_c 14.184
_cell_angle_alpha 90.00
_cell_angle_beta 90.00
_cell_angle_gamma 90.00
loop_
_symmetry_equiv_pos_as_xyz
'x,y,z'
'-x,-y,z+1/2'
'-x+1/2,y,z+1/2'
'x+1/2,-y,z'
loop_
_atom_site_label
_atom_site_type_symbol
_atom_site_fract_x
_atom_site_fract_y
_atom_site_fract_z
Na1 Na 0.025 0.053 0.000
Na2 Na 0.214 0.553 0.752
Al1 Al 0.028 0.937 0.250
Al2 Al 0.222 0.547 0.003
Si1 Si 0.031 0.438 0.377
Si2 Si 0.222 0.046 0.626
O1 O 0.000 0.141 0.348
O2 O 0.006 0.379 0.787
O3 O 0.060 0.492 0.968
O4 O 0.071 0.993 0.652
O5 O 0.182 0.483 0.403
O6 O 0.191 0.961 0.216
O7 O 0.239 0.873 0.033
O8 O 0.247 0.350 0.601



*R*
# PBE-GGA NaAlSiO4, relaxed
# volume: 14.27 A^3/atom
# spin magnetization: 0.0 μB per formula unit
data_NaAlSiO4
_chemical_formula_sum 'Na8 Al8 Si8 O32'
_symmetry_space_group_name_H-M 'P 63'
_symmetry_Int_Tables_number 173
_cell_length_a 9.7382
_cell_length_b 9.7382
_cell_length_c 9.7326
_cell_angle_alpha 90.00
_cell_angle_beta 90.00
_cell_angle_gamma 120.00
loop_
_symmetry_equiv_pos_as_xyz
'x,y,z'
'x-y,x,z+1/2'
'-y,x-y,z'
'-x,-y,z+1/2'
'-x+y,-x,z'
'y,-x+y,z+1/2'
loop_
_atom_site_label
_atom_site_type_symbol
_atom_site_fract_x
_atom_site_fract_y
_atom_site_fract_z
Na1 Na 0.0000 0.0000 0.0000
Na2 Na 0.0208 0.4370 0.4745
Al1 Al 0.0849 0.3255 0.1692
Al2 Al 0.3333 0.6667 0.6568
Si1 Si 0.1196 0.3110 0.7405
Si2 Si 0.3333 0.6667 0.3098
O1 O 0.0242 0.2568 0.8991
O2 O 0.0322 0.8092 0.1419
O3 O 0.0834 0.3946 0.9958
O4 O 0.1620 0.4927 0.7076
O5 O 0.1753 0.5032 0.2612
O6 O 0.3333 0.6667 0.4771



Energies relative to the minimum, meV per atom: *P* 7; *Q* 0; *R* 825



*P*
# PBE-GGA NaAlSiO4, relaxed
# volume: 13.21 A^3/atom
# spin magnetization: 0.0 μB per formula unit
data_NaAlSiO4
_chemical_formula_sum 'Na8 Al8 Si8 O32'
_symmetry_space_group_name_H-M 'P 1'
_symmetry_Int_Tables_number 1
_cell_length_a 8.455
_cell_length_b 10.031
_cell_length_c 10.058
_cell_angle_alpha 119.86
_cell_angle_beta 90.06
_cell_angle_gamma 90.17
loop_
_symmetry_equiv_pos_as_xyz
'x,y,z'
loop_
_atom_site_label
_atom_site_type_symbol
_atom_site_fract_x
_atom_site_fract_y
_atom_site_fract_z
Na1 Na 0.000 0.000 0.000
Na2 Na 0.002 0.552 0.437
Na3 Na 0.004 0.446 0.893
Na4 Na 0.489 0.006 0.427
Na5 Na 0.499 0.559 0.998
Na6 Na 0.501 0.444 0.444
Na7 Na 0.505 0.994 0.888
Na8 Na 0.990 0.027 0.467
Al1 Al 0.189 0.761 0.121
Al2 Al 0.194 0.327 0.537
Al3 Al 0.194 0.903 0.683
Al4 Al 0.206 0.325 0.110
Al5 Al 0.691 0.085 0.208
Al6 Al 0.693 0.233 0.776
Al7 Al 0.693 0.667 0.353
Al8 Al 0.707 0.664 0.784
Si1 Si 0.308 0.664 0.784
Si2 Si 0.321 0.235 0.776
Si3 Si 0.323 0.085 0.206
Si4 Si 0.323 0.666 0.355
Si5 Si 0.809 0.326 0.111
Si6 Si 0.820 0.328 0.537
Si7 Si 0.823 0.904 0.685
Si8 Si 0.826 0.759 0.121
O1 O 0.000 0.710 0.153
O2 O 0.001 0.312 0.113
O3 O 0.001 0.978 0.735
O4 O 0.187 0.958 0.179
O5 O 0.194 0.253 0.663
O6 O 0.195 0.769 0.488
O7 O 0.235 0.646 0.925
O8 O 0.248 0.825 0.798
O9 O 0.254 0.519 0.619
O10 O 0.264 0.345 0.953
O11 O 0.270 0.486 0.281
O12 O 0.290 0.158 0.095
O13 O 0.325 0.216 0.388
O14 O 0.329 0.053 0.725
O15 O 0.329 0.725 0.229
O16 O 0.499 0.004 0.167
O17 O 0.500 0.290 0.760
O18 O 0.501 0.667 0.797
O19 O 0.501 0.682 0.427
O20 O 0.689 0.730 0.220
O21 O 0.693 0.219 0.404
O22 O 0.694 0.035 0.710
O23 O 0.732 0.167 0.093
O24 O 0.750 0.474 0.272
O25 O 0.755 0.347 0.967
O26 O 0.766 0.507 0.609
O27 O 0.772 0.836 0.797
O28 O 0.787 0.650 0.937
O29 O 0.826 0.269 0.663
O30 O 0.827 0.774 0.503
O31 O 0.830 0.941 0.171
O32 O 0.999 0.309 0.467



*Q*
# PBE-GGA NaAlSiO4, relaxed
# volume: 19.05 A^3/atom
# spin magnetization: 0.0 μB per formula unit
data_NaAlSiO4
_chemical_formula_sum 'Na18 Al18 Si18 O72'
_symmetry_space_group_name_H-M 'R 3 c'
_symmetry_Int_Tables_number 161
_symmetry_space_group_name_Hall 'R 3 -2"c'
_cell_length_a 13.1518
_cell_length_b 13.1518
_cell_length_c 16.0225
_cell_angle_alpha 90.00
_cell_angle_beta 90.00
_cell_angle_gamma 120.00
loop_
_atom_site_label
_atom_site_type_symbol
_atom_site_fract_x
_atom_site_fract_y
_atom_site_fract_z
Na1 Na 0.1706 0.3452 0.0000
Al1 Al 0.0011 0.2459 0.6662
Si1 Si 0.9997 0.2526 0.1663
O1 O 0.0068 0.3175 0.7598
O2 O 0.0087 0.3227 0.2530
O3 O 0.0793 0.5331 0.8064
O4 O 0.2132 0.4397 0.8472



*R*
# PBE-GGA NaAlSiO4, relaxed
# volume: 8.86 A^3/atom
# spin magnetization: 0.0 μB per formula unit
data_NaAlSiO4
_chemical_formula_sum 'Na4 Al4 Si4 O16'
_symmetry_space_group_name_H-M 'P m c 21'
_symmetry_Int_Tables_number 26
_cell_length_a 2.766
_cell_length_b 10.222
_cell_length_c 8.775
_cell_angle_alpha 90.00
_cell_angle_beta 90.00
_cell_angle_gamma 90.00
loop_
_symmetry_equiv_pos_as_xyz
'x,y,z'
'-x,-y,z+1/2'
'-x,y,z'
'x,-y,z+1/2'
loop_
_atom_site_label
_atom_site_type_symbol
_atom_site_fract_x
_atom_site_fract_y
_atom_site_fract_z
Na1 Na 0.000 0.088 0.000
Na2 Na 0.500 0.404 0.518
Al1 Al 0.500 0.147 0.683
Al2 Al 0.500 0.361 0.195
Si1 Si 0.000 0.139 0.314
Si2 Si 0.000 0.350 0.848
O1 O 0.000 0.031 0.741
O2 O 0.000 0.270 0.660
O3 O 0.000 0.314 0.332
O4 O 0.000 0.399 0.051
O5 O 0.500 0.107 0.452
O6 O 0.500 0.170 0.185
O7 O 0.500 0.239 0.884
O8 O 0.500 0.459 0.794



Energies relative to the minimum, meV per atom: *P* 0; *Q* 12; *R* 181